# 1
LiFeF4: optimized geometry, PBE with a Hubbard U.

Output
offset from the most stable computed form	0.41	eV/f.u.
magnetization	5.000	μB/f.u.

```
12
Lattice="5.042 0.000 0.000 -0.216 5.121 0.000 -0.818 -0.135 5.063" Properties=species:S:1:pos:R:3 pbc="T T T"
Li 0.881 2.403 1.605
Li 3.127 2.582 3.457
Fe 0.442 0.114 4.051
Fe 3.566 4.872 1.012
F 0.054 3.901 0.032
F -0.140 3.953 2.579
F 1.385 1.650 3.448
F 2.028 0.708 0.868
F 1.980 4.278 4.194
F 2.623 3.336 1.614
F 4.148 1.033 2.484
F 3.954 1.084 5.030
```

# 2
MgMn5O8: optimized geometry, PBE with a Hubbard U.

Output
offset from the most stable computed form	1.50	eV/f.u.
magnetization	21.000	μB/f.u.

```
14
Lattice="5.182 0.000 0.000 0.326 6.091 0.000 0.986 2.806 5.409" Properties=species:S:1:pos:R:3 pbc="T T T"
Mg 0.000 0.000 0.000
Mn 0.863 3.610 2.587
Mn 2.977 1.701 1.447
Mn 3.195 4.795 1.300
Mn 3.541 3.104 4.040
Mn 5.924 6.326 3.646
O 1.927 2.065 3.562
O 2.182 4.957 2.955
O 1.882 3.284 0.979
O 1.856 0.498 0.446
O 4.238 2.963 2.202
O 5.070 7.529 5.011
O 4.530 6.270 1.810
O 5.160 4.204 4.287
```

# 3
Li2Ti2MnCr2P6O24: optimized geometry, PBE with a Hubbard U.

Output
magnetization	10.999	μB/f.u.
VASP energy	-7.588	eV per atom

```
37
Lattice="8.601 0.000 0.000 4.287 7.497 0.000 4.295 2.509 7.063" Properties=species:S:1:pos:R:3 pbc="T T T"
Li 0.000 0.000 0.000
Li 8.512 6.933 6.086
Ti 10.957 5.602 5.096
Ti 10.334 5.917 0.058
Mn 8.557 2.061 2.634
Cr 2.415 0.591 1.568
Cr 6.088 3.458 3.554
P 11.519 8.807 5.806
P 8.513 5.574 2.872
P 5.517 1.700 0.808
P 12.835 5.965 2.283
P 11.596 2.348 4.323
P 14.090 5.252 6.364
O 4.461 2.458 3.948
O 6.130 4.451 5.248
O 5.252 4.866 2.489
O 10.812 9.604 6.909
O 7.497 6.668 2.628
O 4.053 1.553 1.176
O 9.216 5.884 4.212
O 10.721 7.499 5.647
O 9.871 5.222 6.697
O 7.291 2.053 4.446
O 7.905 4.148 2.953
O 6.412 2.229 1.965
O 13.007 8.524 6.166
O 9.544 5.494 1.706
O 6.174 0.348 0.404
O 10.996 3.721 4.710
O 11.822 6.075 3.429
O 12.610 5.577 6.067
O 9.725 1.927 0.642
O 13.445 7.405 2.106
O 10.685 1.794 3.191
O 14.924 6.542 6.571
O 15.857 8.892 5.557
O 12.164 5.714 0.894
```

# 4
MgWCl4O: optimized geometry, PBE with a Hubbard U.

Output
offset from the most stable computed form	0.65	eV/f.u.
magnetization	2.000	μB/f.u.

```
7
Lattice="6.254 -1.959 0.000 6.254 1.959 0.000 -6.244 0.000 6.258" Properties=species:S:1:pos:R:3 pbc="T T T"
Mg 0.000 0.000 0.000
W 3.132 -0.962 3.129
Cl -0.914 0.872 4.339
Cl 7.178 0.872 1.919
Cl 4.336 -0.856 0.918
Cl 1.928 -0.856 5.340
O 3.132 0.997 3.129
```

# 5
Cs2KMn3F12: optimized geometry, PBE with a Hubbard U.

Output
magnetization	12.002	μB/f.u.
VASP energy	-5.339	eV per atom

```
36
Lattice="6.714 -3.874 0.000 6.714 3.874 0.000 -4.190 0.000 12.269" Properties=species:S:1:pos:R:3 pbc="T T T"
Cs 1.327 2.210 8.311
Cs 5.815 2.210 10.091
Cs 3.423 -2.210 2.177
Cs 7.910 -2.210 3.957
K 5.666 1.766 3.067
K 3.571 -1.766 9.201
Mn 0.000 0.000 0.000
Mn -2.095 0.000 6.134
Mn 3.357 1.937 0.000
Mn 1.262 -1.937 6.134
Mn 6.714 0.000 0.000
Mn 4.619 0.000 6.134
F 2.906 3.651 10.468
F -0.845 1.469 10.457
F 4.236 3.651 7.935
F 2.063 0.582 0.366
F 4.052 2.069 5.782
F -0.032 -0.582 6.500
F 7.280 2.069 0.353
F 4.888 0.417 0.444
F 1.250 -1.469 4.323
F 2.186 0.259 10.453
F 2.793 -0.417 6.578
F 4.281 -0.259 4.318
F 4.957 0.259 7.950
F 6.445 0.417 5.691
F 7.052 -0.259 1.816
F 7.988 1.469 7.945
F 4.350 -0.417 11.825
F 1.957 -2.069 11.916
F 9.270 0.582 5.768
F 5.185 -2.069 6.487
F 7.175 -0.582 11.902
F 5.001 -3.651 4.333
F 10.083 -1.469 1.811
F 6.332 -3.651 1.801
```

# 6
Eu2Mn2O7: optimized geometry, PBE with a Hubbard U.

Output
VASP energy	-8.444	eV per atom

```
22
Lattice="0.000 5.081 5.081 5.081 0.000 5.081 5.081 5.081 0.000" Properties=species:S:1:pos:R:3 pbc="T T T"
Eu 0.000 0.000 0.000
Eu 2.540 2.540 0.000
Eu 2.540 0.000 2.540
Eu 0.000 2.540 2.540
Mn 5.081 2.540 2.540
Mn 2.540 5.081 2.540
Mn 2.540 2.540 5.081
Mn 5.081 5.081 5.081
O 1.270 1.270 1.270
O 3.810 3.810 1.768
O 3.810 1.768 3.810
O 5.853 3.810 3.810
O 6.351 6.351 4.308
O 6.351 4.308 6.351
O 8.393 6.351 6.351
O 1.768 3.810 3.810
O 3.810 5.853 3.810
O 3.810 3.810 5.853
O 4.308 6.351 6.351
O 6.351 8.393 6.351
O 6.351 6.351 8.393
O 8.891 8.891 8.891
```

What is the formula in the fourth record? MgWCl4O